Record 1
# HfSiS, optimized geometry, DFT PBE
data_HfSiS
_chemical_formula_sum 'Hf2 Si2 S2'
_cell_length_a 3.5321
_cell_length_b 3.5321
_cell_length_c 8.0433
_cell_angle_alpha 90.00
_cell_angle_beta 90.00
_cell_angle_gamma 90.00
_space_group_name_H-M_alt 'P 4/n m m'
_space_group_IT_number 129
loop_
_space_group_symop_operation_xyz
'x,y,z'
'-x,-y,-z'
'-y+1/2,x,z'
'y+1/2,-x,-z'
'-x+1/2,-y+1/2,z'
'x+1/2,y+1/2,-z'
'y,-x+1/2,z'
'-y,x+1/2,-z'
'x+1/2,-y,-z'
'-x+1/2,y,z'
'-y,-x,-z'
'y,x,z'
'-x,y+1/2,-z'
'x,-y+1/2,z'
'y+1/2,x+1/2,-z'
'-y+1/2,-x+1/2,z'
loop_
_atom_site_label
_atom_site_fract_x
_atom_site_fract_y
_atom_site_fract_z
Hf1 0.2500 0.2500 0.2318
Si1 0.2500 0.7500 0.5000
S1 0.2500 0.2500 0.8792
# - Corrected total energy (MP2020 scheme): -7.8185 eV/atom

***

Record 2
# Sm2HfS5, optimized geometry, DFT PBE
data_Sm2HfS5
_chemical_formula_sum 'Sm8 Hf4 S20'
_cell_length_a 11.6649
_cell_length_b 7.8801
_cell_length_c 7.3439
_cell_angle_alpha 90.00
_cell_angle_beta 90.00
_cell_angle_gamma 90.00
_space_group_name_H-M_alt 'P n m a'
_space_group_IT_number 62
_space_group_name_Hall '-P 2ac 2n'
loop_
_atom_site_label
_atom_site_fract_x
_atom_site_fract_y
_atom_site_fract_z
Sm1 0.1776 0.0020 0.0259
Hf1 0.0063 0.7500 0.5749
S1 0.0044 0.7500 0.9432
S2 0.0901 0.0354 0.6599
S3 0.1804 0.7500 0.3360
S4 0.2055 0.2500 0.3143
# - Corrected total energy (MP2020 scheme): -7.2178 eV/atom

***

Record 3
# HfTl4S4, optimized geometry, DFT PBE
data_HfTl4S4
_chemical_formula_sum 'Hf5 Tl20 S20'
_cell_length_a 9.2520
_cell_length_b 9.2556
_cell_length_c 15.7093
_cell_angle_alpha 76.08
_cell_angle_beta 75.48
_cell_angle_gamma 89.93
_space_group_name_H-M_alt 'P -1'
_space_group_IT_number 2
_space_group_name_Hall '-P 1'
loop_
_atom_site_label
_atom_site_fract_x
_atom_site_fract_y
_atom_site_fract_z
Hf1 0.0000 0.0000 0.0000
Hf2 0.0156 0.1798 0.4005
Hf3 0.1705 0.8116 0.8012
Tl1 0.0445 0.5758 0.2007
Tl2 0.2132 0.2179 0.5989
Tl3 0.2150 0.5846 0.4045
Tl4 0.2205 0.3959 0.0076
Tl5 0.2217 0.9544 0.2037
Tl6 0.3720 0.6005 0.6122
Tl7 0.3833 0.1990 0.8092
Tl8 0.3903 0.7854 0.9970
Tl9 0.4117 0.9686 0.4011
Tl10 0.4207 0.3921 0.2023
S1 0.0619 0.5590 0.5965
S2 0.0689 0.8981 0.4241
S3 0.0739 0.7393 0.9777
S4 0.0849 0.0771 0.8240
S5 0.0911 0.2353 0.2253
S6 0.2365 0.5466 0.8071
S7 0.2442 0.8873 0.6253
S8 0.2663 0.0704 0.0035
S9 0.2802 0.2518 0.3968
S10 0.4339 0.8836 0.8011
# - Corrected total energy (MP2020 scheme): -5.0168 eV/atom

***

Record 4
# HfU3S3, optimized geometry, DFT PBE
data_HfU3S3
_chemical_formula_sum 'Hf1 U3 S3'
_cell_length_a 5.2884
_cell_length_b 5.2884
_cell_length_c 5.2884
_cell_angle_alpha 90.00
_cell_angle_beta 90.00
_cell_angle_gamma 90.00
_space_group_name_H-M_alt 'P m -3 m'
_space_group_IT_number 221
_space_group_name_Hall '-P 4 2 3'
loop_
_atom_site_label
_atom_site_fract_x
_atom_site_fract_y
_atom_site_fract_z
Hf1 0.0000 0.0000 0.0000
U1 0.0000 0.5000 0.5000
S1 0.0000 0.0000 0.5000
# - Corrected total energy (MP2020 scheme): -9.1139 eV/atom

***

Record 5
# Hf9V4S, optimized geometry, DFT PBE
data_Hf9V4S
_chemical_formula_sum 'Hf18 V8 S2'
_cell_length_a 8.5794
_cell_length_b 8.5794
_cell_length_c 8.4125
_cell_angle_alpha 90.00
_cell_angle_beta 90.00
_cell_angle_gamma 120.00
_space_group_name_H-M_alt 'P 63/m m c'
_space_group_IT_number 194
_space_group_name_Hall '-P 6c 2c'
loop_
_atom_site_label
_atom_site_fract_x
_atom_site_fract_y
_atom_site_fract_z
Hf1 0.0879 0.5439 0.2500
Hf2 0.1956 0.3913 0.5511
V1 0.0000 0.0000 0.0000
V2 0.1070 0.2140 0.2500
S1 0.3333 0.6667 0.7500
# - Corrected total energy (MP2020 scheme): -9.5314 eV/atom

***

Record 6
# Hf9W4S, optimized geometry, DFT PBE
data_Hf9W4S
_chemical_formula_sum 'Hf18 W8 S2'
_cell_length_a 8.7005
_cell_length_b 8.7005
_cell_length_c 8.5901
_cell_angle_alpha 90.00
_cell_angle_beta 90.00
_cell_angle_gamma 120.00
_space_group_name_H-M_alt 'P 63/m m c'
_space_group_IT_number 194
_space_group_name_Hall '-P 6c 2c'
loop_
_atom_site_label
_atom_site_fract_x
_atom_site_fract_y
_atom_site_fract_z
Hf1 0.0838 0.5419 0.2500
Hf2 0.1965 0.3930 0.5512
W1 0.0000 0.0000 0.0000
W2 0.1107 0.2214 0.2500
S1 0.3333 0.6667 0.7500
# - Corrected total energy (MP2020 scheme): -10.7197 eV/atom

***

Record 7
# HfSb2, optimized geometry, DFT PBE
data_HfSb2
_chemical_formula_sum 'Hf2 Sb4'
_cell_length_a 4.1469
_cell_length_b 4.1469
_cell_length_c 8.5733
_cell_angle_alpha 90.00
_cell_angle_beta 90.00
_cell_angle_gamma 90.00
_space_group_name_H-M_alt 'P 4/n m m'
_space_group_IT_number 129
loop_
_space_group_symop_operation_xyz
'x,y,z'
'-x,-y,-z'
'-y+1/2,x,z'
'y+1/2,-x,-z'
'-x+1/2,-y+1/2,z'
'x+1/2,y+1/2,-z'
'y,-x+1/2,z'
'-y,x+1/2,-z'
'x+1/2,-y,-z'
'-x+1/2,y,z'
'-y,-x,-z'
'y,x,z'
'-x,y+1/2,-z'
'x,-y+1/2,z'
'y+1/2,x+1/2,-z'
'-y+1/2,-x+1/2,z'
loop_
_atom_site_label
_atom_site_fract_x
_atom_site_fract_y
_atom_site_fract_z
Hf1 0.2500 0.2500 0.2349
Sb1 0.2500 0.2500 0.8814
Sb2 0.2500 0.7500 0.5000
# - Corrected total energy (MP2020 scheme): -6.5438 eV/atom

***

Record 8
# Hf5Sb3, optimized geometry, DFT PBE
data_Hf5Sb3
_chemical_formula_sum 'Hf20 Sb12'
_cell_length_a 7.4587
_cell_length_b 8.8204
_cell_length_c 10.7916
_cell_angle_alpha 90.00
_cell_angle_beta 90.00
_cell_angle_gamma 90.00
_space_group_name_H-M_alt 'P n m a'
_space_group_IT_number 62
_space_group_name_Hall '-P 2ac 2n'
loop_
_atom_site_label
_atom_site_fract_x
_atom_site_fract_y
_atom_site_fract_z
Hf1 0.0270 0.2500 0.0107
Hf2 0.1406 0.7500 0.2839
Hf3 0.1947 0.2500 0.2768
Hf4 0.1981 0.0577 0.5599
Sb1 0.0742 0.0079 0.8249
Sb2 0.0824 0.7500 0.5446
# - Corrected total energy (MP2020 scheme): -8.3038 eV/atom

***

Record 9
# HfSb2, optimized geometry, DFT PBE
data_HfSb2
_chemical_formula_sum 'Hf8 Sb16'
_cell_length_a 9.9932
_cell_length_b 15.1190
_cell_length_c 3.9026
_cell_angle_alpha 90.00
_cell_angle_beta 90.00
_cell_angle_gamma 90.00
_space_group_name_H-M_alt 'P n n m'
_space_group_IT_number 58
_space_group_name_Hall '-P 2 2n'
loop_
_atom_site_label
_atom_site_fract_x
_atom_site_fract_y
_atom_site_fract_z
Hf1 0.0216 0.2483 0.0000
Hf2 0.1665 0.5067 0.0000
Sb1 0.0127 0.3953 0.5000
Sb2 0.1191 0.0573 0.0000
Sb3 0.1595 0.8448 0.5000
Sb4 0.2325 0.1980 0.5000
# - Corrected total energy (MP2020 scheme): -6.6024 eV/atom

***

Record 10
# Hf5Sb9, optimized geometry, DFT PBE
data_Hf5Sb9
_chemical_formula_sum 'Hf10 Sb18'
_cell_length_a 8.8436
_cell_length_b 8.8436
_cell_length_c 8.7350
_cell_angle_alpha 90.00
_cell_angle_beta 90.00
_cell_angle_gamma 90.00
_space_group_name_H-M_alt 'P 4/n'
_space_group_IT_number 85
loop_
_space_group_symop_operation_xyz
'x,y,z'
'-x,-y,-z'
'-y+1/2,x,z'
'y+1/2,-x,-z'
'-x+1/2,-y+1/2,z'
'x+1/2,y+1/2,-z'
'y,-x+1/2,z'
'-y,x+1/2,-z'
loop_
_atom_site_label
_atom_site_fract_x
_atom_site_fract_y
_atom_site_fract_z
Hf1 0.0427 0.6447 0.2335
Hf2 0.2500 0.2500 0.2452
Sb1 0.0187 0.1699 0.4981
Sb2 0.0535 0.6532 0.8818
Sb3 0.2500 0.2500 0.8922
# - Corrected total energy (MP2020 scheme): -6.7612 eV/atom

***

Record 11
# Sm3HfSb5, optimized geometry, DFT PBE
data_Sm3HfSb5
_chemical_formula_sum 'Sm6 Hf2 Sb10'
_cell_length_a 9.4118
_cell_length_b 9.4118
_cell_length_c 6.3422
_cell_angle_alpha 90.00
_cell_angle_beta 90.00
_cell_angle_gamma 120.00
_space_group_name_H-M_alt 'P 63/m c m'
_space_group_IT_number 193
_space_group_name_Hall '-P 6c 2'
loop_
_atom_site_label
_atom_site_fract_x
_atom_site_fract_y
_atom_site_fract_z
Sm1 0.0000 0.3829 0.2500
Hf1 0.0000 0.0000 0.0000
Sb1 0.0000 0.2645 0.7500
Sb2 0.3333 0.6667 0.0000
# - Corrected total energy (MP2020 scheme): -5.9864 eV/atom

***

Record 12
# HfU3Sb5, optimized geometry, DFT PBE
data_HfU3Sb5
_chemical_formula_sum 'Hf2 U6 Sb10'
_cell_length_a 9.2298
_cell_length_b 9.2298
_cell_length_c 6.1816
_cell_angle_alpha 90.00
_cell_angle_beta 90.00
_cell_angle_gamma 120.00
_space_group_name_H-M_alt 'P 63/m c m'
_space_group_IT_number 193
_space_group_name_Hall '-P 6c 2'
loop_
_atom_site_label
_atom_site_fract_x
_atom_site_fract_y
_atom_site_fract_z
Hf1 0.0000 0.0000 0.0000
U1 0.0000 0.3873 0.2500
Sb1 0.0000 0.2700 0.7500
Sb2 0.3333 0.6667 0.0000
# - Corrected total energy (MP2020 scheme): -7.6713 eV/atom

***

Record 13
# Hf5ZnSb3, optimized geometry, DFT PBE
data_Hf5ZnSb3
_chemical_formula_sum 'Hf10 Zn2 Sb6'
_cell_length_a 8.6010
_cell_length_b 8.6010
_cell_length_c 5.7867
_cell_angle_alpha 90.00
_cell_angle_beta 90.00
_cell_angle_gamma 120.00
_space_group_name_H-M_alt 'P 63/m c m'
_space_group_IT_number 193
_space_group_name_Hall '-P 6c 2'
loop_
_atom_site_label
_atom_site_fract_x
_atom_site_fract_y
_atom_site_fract_z
Hf1 0.0000 0.2691 0.2500
Hf2 0.3333 0.6667 0.0000
Zn1 0.0000 0.0000 0.0000
Sb1 0.0000 0.3860 0.7500
# - Corrected total energy (MP2020 scheme): -7.6090 eV/atom

***

Record 14
Density functional theory data (PBE) for a relaxed structure of Hf5Sc.

The structure in CIF format:
```
data_Hf5Sc
_chemical_formula_sum 'Hf5 Sc1'
_cell_length_a 5.5675
_cell_length_b 5.5675
_cell_length_c 5.0576
_cell_angle_alpha 90.00
_cell_angle_beta 90.00
_cell_angle_gamma 120.00
_space_group_name_H-M_alt 'P -6 2 m'
_space_group_IT_number 189
_space_group_name_Hall 'P -6 -2'
loop_
_atom_site_label
_atom_site_fract_x
_atom_site_fract_y
_atom_site_fract_z
Hf1 0.0000 0.6616 0.0000
Hf2 0.3333 0.6667 0.5000
Sc1 0.0000 0.0000 0.5000
```

***

Record 15
# Hf5ScSi4, optimized geometry, DFT PBE
data_Hf5ScSi4
_chemical_formula_sum 'Hf5 Sc1 Si4'
_cell_length_a 7.0276
_cell_length_b 7.0276
_cell_length_c 3.7113
_cell_angle_alpha 90.00
_cell_angle_beta 90.00
_cell_angle_gamma 90.00
_space_group_name_H-M_alt 'P 4/m'
_space_group_IT_number 83
_space_group_name_Hall '-P 4'
loop_
_atom_site_label
_atom_site_fract_x
_atom_site_fract_y
_atom_site_fract_z
Hf1 0.0000 0.0000 0.0000
Hf2 0.1691 0.3245 0.5000
Sc1 0.5000 0.5000 0.0000
Si1 0.1239 0.6237 0.0000
# - Corrected total energy (MP2020 scheme): -8.5285 eV/atom

***

| no. | DFT total energy (eV/atom) | E_form (meV per atom) |
| --- | --- | --- |
| 1 | -7.651 | -1312 |
| 2 | -6.903 | -2208 |
| 3 | -4.793 | -1022 |
| 4 | -8.898 | -1079 |
| 5 | -9.495 | -239 |
| 6 | -10.684 | -321 |
| 7 | -6.416 | -472 |
| 8 | -8.232 | -532 |
| 9 | -6.474 | -531 |
| 10 | -6.638 | -551 |
| 11 | -5.880 | -1013 |
| 12 | -7.565 | -507 |
| 13 | -7.545 | -561 |
| 14 | -9.362 | -9 |
| 15 | -8.557 | -747 |